No. 1
Sc5Re8Si12: relaxed, PBE-GGA.

Values from the calculation:
MP2020-corrected energy: -421.959 eV/cell
Formation energy: -13.52 kcal/mol of atoms

Cell: 10.235 10.235 14.506 Å, 90.00 90.00 150.17°
Positions (direct):
Si1 0.349 0.349 0.879
Si2 0.298 0.136 0.647
Si3 0.645 0.801 0.851
Si4 0.572 0.157 0.000
Si5 0.228 0.728 0.242
Si6 0.157 0.572 0.000
Si7 0.609 0.329 0.500
Si8 0.113 0.674 0.500
Si9 0.862 0.862 0.603
Si10 0.349 0.349 0.121
Si11 0.801 0.645 0.851
Si12 0.728 0.228 0.242
Si13 0.728 0.228 0.758
Si14 0.674 0.113 0.500
Si15 0.329 0.609 0.500
Si16 0.228 0.728 0.758
Si17 0.136 0.298 0.353
Si18 0.801 0.645 0.149
Si19 0.298 0.136 0.353
Si20 0.645 0.801 0.149
Si21 0.857 0.119 0.000
Si22 0.136 0.298 0.647
Si23 0.119 0.857 0.000
Si24 0.862 0.862 0.397
Re1 0.999 0.999 0.769
Re2 0.999 0.999 0.231
Re3 0.930 0.528 0.108
Re4 0.507 0.507 0.279
Re5 0.438 0.027 0.376
Re6 0.389 0.556 0.000
Re7 0.871 0.072 0.500
Re8 0.072 0.871 0.500
Re9 0.438 0.027 0.624
Re10 0.027 0.438 0.624
Re11 0.528 0.930 0.108
Re12 0.556 0.389 0.000
Re13 0.027 0.438 0.376
Re14 0.528 0.930 0.892
Re15 0.930 0.528 0.892
Re16 0.507 0.507 0.721
Sc1 0.436 0.436 0.500
Sc2 0.588 0.859 0.327
Sc3 0.093 0.361 0.175
Sc4 0.361 0.093 0.825
Sc5 0.093 0.361 0.825
Sc6 0.859 0.588 0.673
Sc7 0.961 0.961 0.000
Sc8 0.859 0.588 0.327
Sc9 0.588 0.859 0.673
Sc10 0.361 0.093 0.175

No. 2
Nd3Ge2Ru2: relaxed, PBE-GGA.

Values from the calculation:
Formation energy: -14.24 kcal/mol of atoms

Cell: 5.745 7.967 13.801 Å, 90.00 90.00 90.00°
Positions (direct):
Ru1 0.357 0.470 0.409
Ru2 0.643 0.970 0.409
Ru3 0.357 0.030 0.909
Ru4 0.357 0.470 0.091
Ru5 0.643 0.970 0.091
Ru6 0.643 0.530 0.909
Ru7 0.643 0.530 0.591
Ru8 0.357 0.030 0.591
Nd1 0.850 0.598 0.401
Nd2 0.150 0.402 0.599
Nd3 0.371 0.741 0.250
Nd4 0.629 0.241 0.250
Nd5 0.850 0.902 0.901
Nd6 0.150 0.098 0.099
Nd7 0.150 0.402 0.901
Nd8 0.371 0.759 0.750
Nd9 0.850 0.598 0.099
Nd10 0.629 0.259 0.750
Nd11 0.850 0.902 0.599
Nd12 0.150 0.098 0.401
Ge1 0.139 0.391 0.250
Ge2 0.384 0.750 0.500
Ge3 0.616 0.250 0.500
Ge4 0.861 0.609 0.750
Ge5 0.139 0.109 0.750
Ge6 0.616 0.250 0.000
Ge7 0.384 0.750 0.000
Ge8 0.861 0.891 0.250

No. 3
ErSe: relaxed, PBE-GGA.

Values from the calculation:
MP2020-corrected energy: -11.910 eV/cell
Formation energy: -44.35 kcal/mol of atoms

Cell: 4.037 4.037 4.037 Å, 60.00 60.00 60.00°
Positions (direct):
Se1 0.500 0.500 0.500
Er1 0.000 0.000 0.000

No. 4
EuZn2Si2: relaxed, PBE-GGA.

Values from the calculation:
MP2020-corrected energy: -25.346 eV/cell
Formation energy: -7.93 kcal/mol of atoms

Cell: 5.951 5.951 5.951 Å, 138.02 138.02 60.87°
Positions (direct):
Eu1 0.000 0.000 0.000
Zn1 0.750 0.250 0.500
Zn2 0.250 0.750 0.500
Si1 0.616 0.616 0.000
Si2 0.384 0.384 0.000

No. 5
TlCoNiS2: relaxed, PBE-GGA.

Values from the calculation:
MP2020-corrected energy: -26.182 eV/cell
Formation energy: -12.26 kcal/mol of atoms

Cell: 7.248 7.248 7.248 Å, 150.35 150.35 42.42°
Positions (direct):
Tl1 0.000 0.000 0.000
Co1 0.250 0.750 0.500
Ni1 0.750 0.250 0.500
S1 0.655 0.655 0.000
S2 0.345 0.345 0.000

No. 6
K2NaAsF6: relaxed, PBE-GGA.

Values from the calculation:
MP2020-corrected energy: -47.638 eV/cell
Formation energy: -64.45 kcal/mol of atoms

Cell: 6.132 6.132 6.132 Å, 60.00 60.00 60.00°
Positions (direct):
F1 0.238 0.238 0.762
F2 0.762 0.238 0.238
F3 0.762 0.762 0.238
F4 0.238 0.762 0.238
F5 0.238 0.762 0.762
F6 0.762 0.238 0.762
As1 0.000 0.000 0.000
K1 0.250 0.250 0.250
K2 0.750 0.750 0.750
Na1 0.500 0.500 0.500

No. 7
K4Np3H8Cl7O10: relaxed, PBE-GGA.

Values from the calculation:
MP2020-corrected energy: -394.831 eV/cell
Formation energy: -46.53 kcal/mol of atoms

Cell: 8.966 12.337 12.482 Å, 66.06 69.94 74.39°
Positions (direct):
Np1 0.902 0.569 0.828
Np2 0.270 0.246 0.494
Np3 0.404 0.072 0.830
Np4 0.730 0.754 0.506
Np5 0.596 0.928 0.170
Np6 0.098 0.431 0.172
H1 0.392 0.906 0.591
H2 0.668 0.249 0.677
H3 0.048 0.756 0.584
H4 0.481 0.076 0.355
H5 0.952 0.244 0.416
H6 0.548 0.286 0.597
H7 0.816 0.286 0.350
H8 0.519 0.924 0.645
H9 0.157 0.514 0.483
H10 0.843 0.486 0.517
H11 0.184 0.714 0.650
H12 0.452 0.714 0.403
H13 0.608 0.094 0.409
H14 0.862 0.559 0.377
H15 0.332 0.751 0.323
H16 0.138 0.441 0.623
K1 0.640 0.603 0.175
K2 0.548 0.283 0.140
K3 0.049 0.785 0.129
K4 0.360 0.397 0.825
K5 0.892 0.938 0.741
K6 0.452 0.717 0.860
K7 0.108 0.062 0.259
K8 0.951 0.215 0.871
O1 0.554 0.254 0.683
O2 0.182 0.434 0.541
O3 0.507 0.132 0.383
O4 0.818 0.566 0.459
O5 0.255 0.181 0.891
O6 0.745 0.819 0.109
O7 0.493 0.868 0.617
O8 0.754 0.675 0.896
O9 0.554 0.962 0.767
O10 0.066 0.735 0.664
O11 0.446 0.746 0.317
O12 0.784 0.677 0.654
O13 0.216 0.323 0.346
O14 0.446 0.038 0.233
O15 0.946 0.539 0.237
O16 0.246 0.325 0.104
O17 0.320 0.172 0.643
O18 0.934 0.265 0.336
O19 0.054 0.461 0.763
O20 0.680 0.828 0.357
Cl1 0.071 0.739 0.397
Cl2 0.126 0.603 0.927
Cl3 0.663 0.442 0.865
Cl4 0.446 0.644 0.594
Cl5 0.365 0.900 0.075
Cl6 0.807 0.969 0.485
Cl7 0.841 0.051 0.140
Cl8 0.635 0.100 0.925
Cl9 0.929 0.261 0.603
Cl10 0.193 0.031 0.515
Cl11 0.159 0.949 0.860
Cl12 0.337 0.558 0.135
Cl13 0.874 0.397 0.073
Cl14 0.554 0.356 0.406

No. 8
GeSb2Te4: relaxed, PBE-GGA.

Values from the calculation:
MP2020-corrected energy: -27.902 eV/cell
Formation energy: -8.06 kcal/mol of atoms

Cell: 15.062 15.062 15.062 Å, 16.34 16.34 16.34°
Positions (direct):
Te1 0.000 0.000 0.000
Te2 0.499 0.499 0.499
Te3 0.746 0.746 0.746
Te4 0.250 0.250 0.250
Sb1 0.871 0.871 0.871
Sb2 0.628 0.628 0.628
Ge1 0.381 0.381 0.381

No. 9
CrN2: relaxed, PBE-GGA.

Values from the calculation:
MP2020-corrected energy: -371.588 eV/cell
Formation energy: -1.66 kcal/mol of atoms

Cell: 14.060 14.060 13.032 Å, 71.09 71.09 23.42°
Positions (direct):
Cr1 0.062 0.062 0.092
Cr2 0.378 0.378 0.879
Cr3 0.719 0.719 0.479
Cr4 0.370 0.370 0.288
Cr5 0.279 0.279 0.786
Cr6 0.938 0.938 0.908
Cr7 0.281 0.281 0.521
Cr8 0.290 0.290 0.137
Cr9 0.721 0.721 0.214
Cr10 0.710 0.710 0.863
Cr11 0.070 0.070 0.832
Cr12 0.930 0.930 0.168
Cr13 0.630 0.630 0.712
Cr14 0.622 0.622 0.121
N1 0.005 0.005 0.865
N2 0.341 0.341 0.795
N3 0.490 0.000 0.850
N4 0.839 0.330 0.138
N5 0.510 0.000 0.150
N6 0.000 0.510 0.150
N7 0.323 0.323 0.229
N8 0.662 0.662 0.992
N9 0.677 0.677 0.771
N10 0.500 0.000 0.500
N11 0.000 0.490 0.850
N12 0.284 0.284 0.652
N13 0.660 0.150 0.246
N14 0.338 0.338 0.008
N15 0.000 0.500 0.500
N16 0.915 0.915 0.048
N17 0.085 0.085 0.952
N18 0.850 0.340 0.754
N19 0.343 0.343 0.428
N20 0.995 0.995 0.135
N21 0.670 0.161 0.862
N22 0.716 0.716 0.348
N23 0.330 0.839 0.138
N24 0.340 0.850 0.754
N25 0.150 0.660 0.246
N26 0.657 0.657 0.572
N27 0.161 0.670 0.862
N28 0.659 0.659 0.205

No. 10
Li7NiN4: relaxed, PBE-GGA.

Values from the calculation:
MP2020-corrected energy: -453.047 eV/cell
Formation energy: -7.96 kcal/mol of atoms

Cell: 9.622 9.622 9.622 Å, 90.00 90.00 90.00°
Positions (direct):
N1 0.119 0.859 0.387
N2 0.641 0.381 0.887
N3 0.881 0.141 0.387
N4 0.381 0.113 0.359
N5 0.119 0.141 0.613
N6 0.112 0.888 0.888
N7 0.619 0.113 0.641
N8 0.619 0.887 0.359
N9 0.612 0.612 0.612
N10 0.381 0.887 0.641
N11 0.888 0.112 0.888
N12 0.612 0.388 0.388
N13 0.112 0.112 0.112
N14 0.888 0.888 0.112
N15 0.859 0.387 0.119
N16 0.881 0.859 0.613
N17 0.887 0.641 0.381
N18 0.359 0.381 0.113
N19 0.113 0.359 0.381
N20 0.141 0.613 0.119
N21 0.359 0.619 0.887
N22 0.613 0.881 0.859
N23 0.887 0.359 0.619
N24 0.613 0.119 0.141
N25 0.388 0.388 0.612
N26 0.387 0.881 0.141
N27 0.387 0.119 0.859
N28 0.388 0.612 0.388
N29 0.141 0.387 0.881
N30 0.859 0.613 0.881
N31 0.641 0.619 0.113
N32 0.113 0.641 0.619
Ni1 0.750 0.500 0.000
Ni2 0.000 0.000 0.000
Ni3 0.000 0.750 0.500
Ni4 0.500 0.500 0.500
Ni5 0.500 0.000 0.250
Ni6 0.500 0.000 0.750
Ni7 0.000 0.250 0.500
Ni8 0.250 0.500 0.000
Li1 0.500 0.500 0.240
Li2 0.000 0.500 0.750
Li3 0.994 0.752 0.759
Li4 0.500 0.750 0.000
Li5 0.240 0.500 0.500
Li6 0.760 0.500 0.500
Li7 0.740 0.000 0.000
Li8 0.500 0.500 0.000
Li9 0.259 0.252 0.494
Li10 0.248 0.759 0.006
Li11 0.744 0.744 0.744
Li12 0.494 0.259 0.252
Li13 0.241 0.006 0.752
Li14 0.506 0.741 0.252
Li15 0.756 0.756 0.244
Li16 0.500 0.250 0.000
Li17 0.752 0.759 0.994
Li18 0.756 0.244 0.756
Li19 0.241 0.994 0.248
Li20 0.741 0.748 0.494
Li21 0.000 0.000 0.740
Li22 0.000 0.500 0.000
Li23 0.500 0.000 0.000
Li24 0.006 0.752 0.241
Li25 0.744 0.256 0.256
Li26 0.000 0.500 0.500
Li27 0.994 0.248 0.241
Li28 0.500 0.000 0.500
Li29 0.250 0.000 0.500
Li30 0.252 0.506 0.741
Li31 0.752 0.241 0.006
Li32 0.759 0.994 0.752
Li33 0.260 0.000 0.000
Li34 0.500 0.500 0.760
Li35 0.244 0.244 0.244
Li36 0.500 0.760 0.500
Li37 0.000 0.500 0.250
Li38 0.006 0.248 0.759
Li39 0.750 0.000 0.500
Li40 0.506 0.259 0.748
Li41 0.000 0.000 0.260
Li42 0.252 0.494 0.259
Li43 0.500 0.240 0.500
Li44 0.759 0.006 0.248
Li45 0.000 0.000 0.500
Li46 0.748 0.506 0.259
Li47 0.248 0.241 0.994
Li48 0.748 0.494 0.741
Li49 0.244 0.756 0.756
Li50 0.494 0.741 0.748
Li51 0.256 0.744 0.256
Li52 0.000 0.740 0.000
Li53 0.259 0.748 0.506
Li54 0.741 0.252 0.506
Li55 0.000 0.260 0.000
Li56 0.256 0.256 0.744

No. 11
Mg2P2O7: relaxed, PBE-GGA.

Values from the calculation:
MP2020-corrected energy: -326.026 eV/cell
Formation energy: -68.85 kcal/mol of atoms
Offset from the most stable computed form: 0.0 meV/atom

Cell: 8.387 7.026 9.170 Å, 66.28 90.00 90.00°
Positions (direct):
O1 0.330 0.748 0.899
O2 0.239 0.120 0.298
O3 0.091 0.483 0.655
O4 0.261 0.120 0.798
O5 0.113 0.887 0.686
O6 0.095 0.978 0.119
O7 0.830 0.252 0.601
O8 0.170 0.748 0.399
O9 0.739 0.880 0.202
O10 0.909 0.517 0.345
O11 0.670 0.252 0.101
O12 0.611 0.448 0.396
O13 0.889 0.448 0.896
O14 0.591 0.517 0.845
O15 0.764 0.625 0.546
O16 0.409 0.483 0.155
O17 0.387 0.887 0.186
O18 0.736 0.625 0.046
O19 0.905 0.022 0.881
O20 0.389 0.552 0.604
O21 0.264 0.375 0.954
O22 0.761 0.880 0.702
O23 0.613 0.113 0.814
O24 0.405 0.978 0.619
O25 0.236 0.375 0.454
O26 0.595 0.022 0.381
O27 0.887 0.113 0.314
O28 0.111 0.552 0.104
P1 0.770 0.058 0.759
P2 0.227 0.530 0.533
P3 0.727 0.470 0.967
P4 0.270 0.942 0.741
P5 0.773 0.470 0.467
P6 0.230 0.942 0.241
P7 0.730 0.058 0.259
P8 0.273 0.530 0.033
Mg1 0.071 0.233 0.889
Mg2 0.558 0.699 0.174
Mg3 0.929 0.767 0.111
Mg4 0.571 0.767 0.611
Mg5 0.429 0.233 0.389
Mg6 0.442 0.301 0.826
Mg7 0.942 0.699 0.674
Mg8 0.058 0.301 0.326